A relaxed structure of Zn2Cu2O5, computed with PBE-GGA.

Properties
Spin magnetization   0.0 μB per formula unit
Final energy   -4.58 eV per atom

```
Zn2Cu2O5
1.0
3.576 0.000 0.000
0.000 5.117 0.000
0.000 0.000 10.605
Zn Cu O
4 4 10
Direct
0.500 0.749 0.406 Zn
0.500 0.251 0.594 Zn
0.500 0.249 0.094 Zn
0.500 0.751 0.906 Zn
0.000 0.726 0.139 Cu
0.000 0.274 0.861 Cu
0.000 0.774 0.639 Cu
0.000 0.226 0.361 Cu
0.000 0.000 0.000 O
0.000 0.656 0.820 O
0.000 0.156 0.680 O
0.000 0.844 0.320 O
0.500 0.815 0.597 O
0.500 0.185 0.403 O
0.000 0.344 0.180 O
0.500 0.685 0.097 O
0.000 0.500 0.500 O
0.500 0.315 0.903 O
```